Entry 1:
## ZnFe2Se4O12 (PBE+U)

Data for ZnFe2Se4O12 after structural relaxation.

Calculated values
* magnetization: 20.00 μB per cell

Cell lengths 8.189, 8.193, 8.337 Å; angles 87.76, 90.00, 90.00 degrees
Positions (direct):
O (0.027, 0.816, 0.521)
Se (0.572, 0.451, 0.821)
O (0.807, 0.991, 0.020)
Fe (0.260, 0.744, 0.509)
Fe (0.740, 0.244, 0.509)
O (0.482, 0.294, 0.938)
Fe (0.239, 0.250, 0.000)
O (0.838, 0.757, 0.776)
O (0.719, 0.348, 0.722)
O (0.781, 0.013, 0.579)
Se (0.095, 0.550, 0.191)
O (0.162, 0.257, 0.776)
O (0.373, 0.258, 0.226)
O (0.281, 0.848, 0.722)
O (0.973, 0.316, 0.521)
Se (0.675, 0.667, 0.415)
O (0.037, 0.198, 0.119)
O (0.503, 0.694, 0.523)
Se (0.428, 0.951, 0.821)
Se (0.943, 0.919, 0.680)
O (0.690, 0.509, 0.988)
Se (0.905, 0.050, 0.191)
Fe (0.761, 0.750, 0.000)
Se (0.057, 0.419, 0.680)
O (0.627, 0.758, 0.226)
Zn (0.398, 0.844, 0.163)
O (0.248, 0.677, 0.269)
O (0.518, 0.794, 0.938)
O (0.667, 0.460, 0.367)
Se (0.325, 0.167, 0.415)
O (0.193, 0.491, 0.020)
O (0.333, 0.960, 0.367)
O (0.752, 0.177, 0.269)
O (0.497, 0.194, 0.523)
O (0.219, 0.513, 0.579)
O (0.310, 0.009, 0.988)
Zn (0.602, 0.344, 0.163)
O (0.963, 0.698, 0.119)


Entry 2:
## V3OF11 (PBE+U)

Data for V3OF11 after structural relaxation.

Calculated values
* excess energy over the best structure of this formula in the dataset: 0.002 eV/atom

Cell lengths 5.275, 5.423, 14.937 Å; angles 79.77, 90.00, 90.00 degrees
Positions (direct):
F (0.808, 0.233, 0.641)
F (0.193, 0.600, 0.691)
F (0.767, 0.540, 0.978)
F (0.913, 0.880, 0.782)
F (0.267, 0.460, 0.022)
O (0.726, 0.030, 0.981)
F (0.193, 0.268, 0.358)
F (0.912, 0.214, 0.115)
F (0.808, 0.901, 0.309)
F (0.693, 0.732, 0.642)
V (0.500, 0.416, 0.666)
O (0.226, 0.970, 0.019)
V (0.001, 0.916, 0.666)
F (0.589, 0.046, 0.449)
F (0.413, 0.120, 0.218)
F (0.586, 0.374, 0.782)
F (0.056, 0.317, 0.884)
F (0.086, 0.626, 0.218)
V (0.038, 0.220, 0.004)
F (0.911, 0.547, 0.449)
F (0.089, 0.954, 0.551)
V (0.501, 0.084, 0.334)
V (0.000, 0.584, 0.334)
V (0.538, 0.780, 0.996)
F (0.308, 0.099, 0.691)
F (0.412, 0.786, 0.885)
F (0.556, 0.683, 0.116)
F (0.411, 0.453, 0.551)
F (0.693, 0.400, 0.309)
F (0.308, 0.767, 0.359)


Entry 3:
## Na3Co2CuH8S4O17 (PBE+U)

Data for Na3Co2CuH8S4O17 after structural relaxation.

Calculated values
* magnetization: 16.00 μB per cell

Cell lengths 7.597, 7.892, 14.339 Å; angles 90.00, 90.00, 101.36 degrees
Positions (direct):
Co (0.735, 0.160, 0.113)
S (0.156, 0.365, 0.382)
H (0.804, 0.940, 0.520)
O (0.754, 0.445, 0.882)
H (0.541, 0.698, 0.539)
O (0.777, 0.718, 0.968)
Cu (0.788, 0.774, 0.750)
Co (0.736, 0.160, 0.388)
O (0.126, 0.029, 0.837)
O (0.223, 0.282, 0.468)
H (0.459, 0.302, 0.039)
H (0.315, 0.945, 0.434)
H (0.540, 0.698, 0.961)
O (0.957, 0.365, 0.398)
O (0.875, 0.972, 0.164)
H (0.805, 0.940, 0.980)
S (0.991, 0.978, 0.251)
O (0.043, 0.639, 0.600)
O (0.043, 0.635, 0.898)
O (0.532, 0.007, 0.837)
O (0.782, 0.061, 0.519)
O (0.469, 0.995, 0.163)
O (0.651, 0.225, 0.251)
O (0.775, 0.716, 0.531)
O (0.957, 0.361, 0.100)
S (0.538, 0.894, 0.750)
O (0.217, 0.939, 0.480)
O (0.592, 0.320, 0.455)
Cu (0.212, 0.226, 0.250)
O (0.246, 0.555, 0.382)
S (0.844, 0.635, 0.882)
O (0.336, 0.376, 0.707)
Na (0.382, 0.709, 0.249)
H (0.685, 0.055, 0.934)
O (0.468, 0.993, 0.337)
O (0.125, 0.028, 0.664)
O (0.225, 0.284, 0.031)
H (0.314, 0.944, 0.067)
O (0.874, 0.971, 0.337)
O (0.757, 0.444, 0.617)
O (0.531, 0.005, 0.663)
S (0.462, 0.106, 0.250)
O (0.933, 0.184, 0.751)
H (0.352, 0.626, 0.013)
O (0.349, 0.775, 0.751)
Co (0.264, 0.840, 0.888)
H (0.647, 0.373, 0.987)
S (0.844, 0.635, 0.617)
S (0.156, 0.365, 0.117)
O (0.591, 0.314, 0.044)
Na (0.943, 0.676, 0.107)
H (0.196, 0.060, 0.020)
O (0.408, 0.680, 0.955)
Na (0.057, 0.324, 0.607)
S (0.009, 0.022, 0.751)
H (0.195, 0.060, 0.480)
O (0.067, 0.816, 0.251)
Na (0.969, 0.689, 0.401)
O (0.783, 0.061, 0.980)
O (0.409, 0.686, 0.544)
H (0.686, 0.056, 0.567)
O (0.243, 0.556, 0.117)
O (0.218, 0.939, 0.019)
H (0.353, 0.627, 0.487)
H (0.460, 0.302, 0.461)
H (0.648, 0.374, 0.513)
O (0.664, 0.624, 0.207)
Na (0.618, 0.291, 0.749)
Na (0.031, 0.311, 0.901)
Co (0.265, 0.840, 0.613)


Entry 4:
## Li9Ni23O32 (PBE+U)

Data for Li9Ni23O32 after structural relaxation.

Calculated values
* magnetization: 37.00 μB per cell

Cell lengths 5.865, 5.884, 23.550 Å; angles 59.79, 60.06, 60.21 degrees
Positions (direct):
O (0.134, 0.127, 0.290)
O (0.644, 0.640, 0.661)
Ni (0.395, 0.901, 0.597)
Ni (0.893, 0.395, 0.476)
O (0.666, 0.131, 0.415)
O (0.142, 0.645, 0.285)
O (0.147, 0.144, 0.164)
Ni (0.395, 0.396, 0.723)
O (0.140, 0.650, 0.913)
Ni (0.899, 0.890, 0.349)
O (0.628, 0.125, 0.667)
Ni (0.893, 0.895, 0.598)
O (0.662, 0.658, 0.407)
O (0.161, 0.116, 0.917)
O (0.651, 0.141, 0.536)
Ni (0.393, 0.392, 0.100)
O (0.126, 0.677, 0.530)
Ni (0.897, 0.393, 0.972)
Ni (0.392, 0.900, 0.474)
Li (0.900, 0.401, 0.595)
O (0.145, 0.647, 0.661)
Li (0.393, 0.889, 0.101)
O (0.141, 0.152, 0.787)
Li (0.401, 0.410, 0.219)
O (0.159, 0.127, 0.666)
Ni (0.393, 0.896, 0.848)
Ni (0.892, 0.899, 0.474)
O (0.137, 0.642, 0.161)
Li (0.397, 0.392, 0.599)
O (0.126, 0.664, 0.408)
Ni (0.397, 0.894, 0.349)
Ni (0.890, 0.890, 0.976)
O (0.149, 0.637, 0.036)
Li (0.397, 0.396, 0.848)
Li (0.386, 0.390, 0.478)
O (0.647, 0.663, 0.532)
O (0.140, 0.138, 0.537)
Ni (0.894, 0.899, 0.849)
O (0.136, 0.140, 0.412)
Li (0.394, 0.399, 0.347)
O (0.149, 0.134, 0.032)
O (0.647, 0.134, 0.914)
Ni (0.393, 0.387, 0.974)
O (0.651, 0.651, 0.162)
Ni (0.394, 0.893, 0.974)
O (0.669, 0.119, 0.291)
O (0.630, 0.665, 0.782)
O (0.625, 0.654, 0.031)
Li (0.890, 0.391, 0.103)
Li (0.888, 0.396, 0.849)
Ni (0.894, 0.892, 0.099)
Ni (0.895, 0.396, 0.723)
Ni (0.892, 0.395, 0.223)
Ni (0.895, 0.896, 0.723)
Ni (0.398, 0.888, 0.223)
O (0.652, 0.649, 0.286)
O (0.156, 0.665, 0.782)
Ni (0.394, 0.895, 0.724)
O (0.644, 0.150, 0.036)
Ni (0.903, 0.895, 0.222)
Ni (0.898, 0.396, 0.348)
O (0.647, 0.143, 0.786)
O (0.644, 0.137, 0.161)
O (0.637, 0.653, 0.912)


Entry 5:
## MgV4Fe2O12 (PBE+U)

Data for MgV4Fe2O12 after structural relaxation.

Calculated values
* magnetization: 10.01 μB per cell

Cell lengths 7.017, 7.017, 5.781 Å; angles 72.27, 107.73, 100.11 degrees
Positions (direct):
O (0.207, 0.970, 0.166)
Mg (0.732, 0.732, 0.750)
O (0.626, 0.326, 0.389)
O (0.886, 0.636, 0.170)
V (0.186, 0.607, 0.784)
O (0.402, 0.684, 0.622)
V (0.384, 0.798, 0.291)
V (0.798, 0.384, 0.209)
O (0.326, 0.626, 0.111)
O (0.006, 0.795, 0.660)
O (0.086, 0.374, 0.759)
O (0.636, 0.886, 0.330)
V (0.607, 0.186, 0.716)
O (0.970, 0.207, 0.334)
Fe (0.920, 0.920, 0.250)
O (0.795, 0.006, 0.840)
Fe (0.089, 0.089, 0.750)
O (0.374, 0.086, 0.741)
O (0.684, 0.402, 0.878)


Entry 6:
## Mo2P2O11 (PBE+U)

Data for Mo2P2O11 after structural relaxation.

Calculated values
* excess energy over the best structure of this formula in the dataset: 0.001 eV/atom
* magnetization: 0.00 μB per cell

Cell lengths 6.438, 7.607, 9.154 Å; angles 74.81, 89.83, 89.90 degrees
Positions (direct):
O (0.557, 0.366, 0.693)
O (0.249, 0.356, 0.907)
Mo (0.752, 0.816, 0.861)
O (0.751, 0.644, 0.093)
P (0.749, 0.491, 0.671)
O (0.255, 0.982, 0.038)
O (0.443, 0.634, 0.307)
O (0.745, 0.018, 0.962)
O (0.444, 0.805, 0.884)
O (0.248, 0.363, 0.480)
Mo (0.247, 0.391, 0.705)
O (0.760, 0.957, 0.684)
O (0.750, 0.588, 0.804)
O (0.556, 0.195, 0.116)
O (0.250, 0.412, 0.196)
O (0.753, 0.906, 0.251)
O (0.240, 0.043, 0.316)
O (0.942, 0.197, 0.108)
P (0.251, 0.509, 0.329)
O (0.758, 0.376, 0.358)
O (0.058, 0.803, 0.892)
Mo (0.248, 0.184, 0.139)
O (0.752, 0.637, 0.520)
P (0.749, 0.070, 0.116)
O (0.247, 0.094, 0.749)
O (0.063, 0.639, 0.305)
O (0.937, 0.361, 0.695)
O (0.242, 0.624, 0.642)
Mo (0.753, 0.609, 0.295)
P (0.251, 0.930, 0.884)


Entry 7:
## NaEuW2O6 (PBE+U)

Data for NaEuW2O6 after structural relaxation.

Calculated values
* magnetization: 7.40 μB per cell

Cell lengths 5.693, 5.693, 5.693 Å; angles 60.00, 60.00, 60.00 degrees
Positions (direct):
O (0.000, 0.500, 0.500)
O (0.500, 0.500, 0.000)
O (0.500, 0.000, 0.000)
Na (0.500, 0.500, 0.500)
Eu (0.000, 0.000, 0.000)
O (0.500, 0.000, 0.500)
O (0.000, 0.500, 0.000)
W (0.750, 0.750, 0.750)
O (0.000, 0.000, 0.500)
W (0.250, 0.250, 0.250)


Entry 8:
## Li4VP6O18 (PBE+U)

Data for Li4VP6O18 after structural relaxation.

Calculated values
* magnetization: 3.00 μB per cell

Cell lengths 7.371, 7.416, 7.533 Å; angles 104.65, 115.78, 97.84 degrees
Positions (direct):
Li (0.480, 0.532, 0.008)
Li (0.233, 0.885, 0.076)
Li (0.630, 0.840, 0.440)
P (0.778, 0.487, 0.729)
P (0.338, 0.779, 0.680)
O (0.752, 0.748, 0.248)
O (0.367, 0.615, 0.224)
Li (0.363, 0.146, 0.542)
O (0.653, 0.343, 0.776)
O (0.918, 0.074, 0.737)
O (0.313, 0.569, 0.523)
P (0.664, 0.213, 0.324)
O (0.091, 0.938, 0.264)
P (0.978, 0.782, 0.304)
V (0.790, 0.144, 0.939)
O (0.498, 0.934, 0.683)
O (0.639, 0.231, 0.122)
O (0.004, 0.575, 0.199)
O (0.258, 0.262, 0.756)
P (0.215, 0.504, 0.268)
O (0.004, 0.441, 0.797)
O (0.109, 0.810, 0.553)
O (0.362, 0.757, 0.880)
O (0.132, 0.286, 0.172)
O (0.812, 0.699, 0.814)
O (0.899, 0.195, 0.448)
O (0.508, 0.059, 0.324)
P (0.032, 0.232, 0.697)
O (0.678, 0.422, 0.473)


Entry 9:
## Li7Mn5O12 (PBE+U)

Data for Li7Mn5O12 after structural relaxation.

Calculated values
* excess energy over the best structure of this formula in the dataset: 0.016 eV/atom
* magnetization: 2.00 μB per cell

Cell lengths 5.089, 15.075, 5.992 Å; angles 93.96, 103.97, 96.85 degrees
Positions (direct):
Mn (0.496, 0.498, 0.487)
O (0.749, 0.540, 0.803)
Li (0.249, 0.755, 0.496)
Mn (0.333, 0.333, 0.667)
O (0.422, 0.203, 0.148)
O (0.595, 0.377, 0.967)
Li (0.418, 0.911, 0.837)
O (0.246, 0.464, 0.185)
Mn (0.834, 0.833, 0.667)
Mn (0.990, 0.998, 0.999)
O (0.605, 0.378, 0.508)
O (0.776, 0.542, 0.345)
O (0.273, 0.050, 0.845)
Li (0.333, 0.333, 0.167)
O (0.091, 0.878, 0.967)
Li (0.833, 0.833, 0.167)
O (0.073, 0.290, 0.367)
O (0.279, 0.047, 0.350)
O (0.948, 0.703, 0.179)
O (0.451, 0.216, 0.690)
Li (0.238, 0.754, 0.006)
O (0.717, 0.952, 0.645)
O (0.718, 0.964, 0.154)
O (0.951, 0.715, 0.689)
O (0.559, 0.788, 0.823)
O (0.107, 0.878, 0.510)
O (0.393, 0.616, 0.488)
Li (0.902, 0.413, 0.819)
Li (0.741, 0.253, 0.004)
O (0.063, 0.288, 0.826)
O (0.891, 0.125, 0.988)
O (0.575, 0.789, 0.367)
Mn (0.995, 0.997, 0.491)
Mn (0.171, 0.169, 0.846)
O (0.217, 0.451, 0.643)
O (0.387, 0.619, 0.983)
O (0.917, 0.126, 0.530)
Mn (0.672, 0.670, 0.842)
Mn (0.495, 0.498, 0.993)
Mn (0.172, 0.169, 0.341)
Li (0.429, 0.913, 0.327)
Li (0.764, 0.253, 0.514)
Mn (0.676, 0.668, 0.334)
Li (0.563, 0.079, 0.151)
Li (0.104, 0.588, 0.183)
Li (0.086, 0.586, 0.665)
Li (0.926, 0.414, 0.329)
Li (0.580, 0.081, 0.668)


Entry 10:
## Li9Mn2Co5O16 (PBE+U)

Data for Li9Mn2Co5O16 after structural relaxation.

Calculated values
* excess energy over the best structure of this formula in the dataset: 0.076 eV/atom
* magnetization: 26.00 μB per cell

Cell lengths 4.963, 7.757, 7.819 Å; angles 98.19, 101.23, 102.60 degrees
Positions (direct):
Co (0.497, 0.126, 0.872)
Mn (0.000, 0.255, 0.750)
O (0.760, 0.017, 0.769)
O (0.754, 0.354, 0.872)
O (0.740, 0.512, 0.251)
O (0.246, 0.996, 0.219)
O (0.254, 0.652, 0.131)
O (0.265, 0.144, 0.648)
O (0.265, 0.749, 0.487)
O (0.731, 0.108, 0.099)
O (0.248, 0.479, 0.756)
O (0.751, 0.773, 0.004)
Mn (0.997, 0.000, 0.994)
Co (0.501, 0.617, 0.383)
O (0.265, 0.373, 0.382)
Co (0.999, 0.748, 0.259)
Li (0.998, 0.855, 0.615)
Li (0.515, 0.993, 0.500)
O (0.235, 0.231, 0.980)
Li (0.513, 0.260, 0.260)
Li (0.016, 0.134, 0.387)
O (0.761, 0.250, 0.531)
Li (0.478, 0.739, 0.737)
O (0.771, 0.874, 0.367)
Li (0.997, 0.496, 0.498)
O (0.240, 0.897, 0.872)
O (0.720, 0.606, 0.621)
Li (0.989, 0.620, 0.864)
Co (0.490, 0.376, 0.623)
Co (0.501, 0.878, 0.122)
Li (0.503, 0.505, 0.007)
Li (0.000, 0.384, 0.141)


| no. | energy relative to the elements (eV/f.u.) | theoretical density (g/cm³) | volume (Å³/atom) |
| --- | --- | --- | --- |
| 1 | -27.267 | 4.07 | 14.71 |
| 2 | -43.428 | 2.98 | 14.02 |
| 3 | -51.397 | 2.60 | 12.04 |
| 4 | -86.477 | 5.56 | 8.98 |
| 5 | -42.678 | 3.43 | 13.53 |
| 6 | -33.960 | 3.30 | 14.42 |
| 7 | -22.032 | 8.13 | 13.05 |
| 8 | -75.619 | 2.67 | 11.87 |
| 9 | -51.388 | 3.88 | 9.18 |
| 10 | -57.215 | 4.25 | 8.83 |